Record 1
First-principles (PBE) data for a geometry-optimized RbW3Cl9 structure, as listed in Materials Project.

POSCAR file:
```
RbW3Cl9
1.0
-5.850 7.112 -2.771
-2.832 -9.154 -0.826
-3.368 0.325 7.942
Rb W Cl
2 6 18
Direct
0.667 0.333 0.443
0.333 0.667 0.557
0.832 0.813 0.873
0.813 0.982 0.127
0.018 0.832 0.127
0.982 0.168 0.873
0.168 0.187 0.127
0.187 0.018 0.873
0.037 0.633 0.301
0.759 0.172 0.998
0.828 0.587 0.998
0.189 0.210 0.689
0.210 0.021 0.311
0.979 0.189 0.311
0.963 0.367 0.699
0.021 0.811 0.689
0.811 0.790 0.311
0.587 0.759 0.002
0.633 0.596 0.699
0.413 0.241 0.998
0.790 0.979 0.689
0.172 0.413 0.002
0.596 0.963 0.301
0.404 0.037 0.699
0.367 0.404 0.301
0.241 0.828 0.002
```

SG	No. 147
ρ	4.59	Mg/m³
energy of formation from the pure elements	-1.38	eV/atom


Record 2
First-principles (PBE) data for a geometry-optimized RbWCl6 structure, as listed in Materials Project.

POSCAR file:
```
RbWCl6
1.0
3.212 6.099 0.000
-3.212 6.099 0.000
0.000 2.580 12.115
Rb W Cl
2 2 12
Direct
0.881 0.119 0.750
0.119 0.881 0.250
0.500 0.000 0.500
0.000 0.500 0.000
0.463 0.699 0.603
0.537 0.301 0.397
0.301 0.537 0.897
0.699 0.463 0.103
0.371 0.201 0.659
0.629 0.799 0.341
0.799 0.629 0.841
0.201 0.371 0.159
0.795 0.894 0.040
0.205 0.106 0.960
0.106 0.205 0.460
0.894 0.795 0.540
```

SG	No. 15
ρ	3.37	Mg/m³
energy of formation from the pure elements	-1.61	eV/atom


Record 3
First-principles (PBE) data for a geometry-optimized Rb2YCl5 structure, as listed in Materials Project.

POSCAR file:
```
Rb2YCl5
1.0
7.475 0.000 0.000
0.000 9.611 0.000
0.000 0.000 14.883
Rb Y Cl
8 4 20
Direct
0.250 0.663 0.917
0.750 0.337 0.083
0.750 0.837 0.417
0.250 0.163 0.583
0.250 0.978 0.212
0.750 0.022 0.788
0.750 0.522 0.712
0.250 0.478 0.288
0.250 0.682 0.566
0.750 0.318 0.434
0.750 0.818 0.066
0.250 0.182 0.934
0.250 0.521 0.707
0.750 0.479 0.293
0.750 0.979 0.207
0.250 0.021 0.793
0.510 0.838 0.618
0.490 0.162 0.382
0.490 0.662 0.118
0.010 0.162 0.382
0.510 0.338 0.882
0.990 0.838 0.618
0.990 0.338 0.882
0.010 0.662 0.118
0.250 0.786 0.400
0.750 0.214 0.600
0.750 0.714 0.900
0.250 0.286 0.100
0.000 0.500 0.500
0.000 0.000 0.000
0.500 0.500 0.500
0.500 0.000 0.000
```

SG	No. 62
ρ	2.72	Mg/m³
energy of formation from the pure elements	-2.54	eV/atom


Record 4
First-principles (PBE) data for a geometry-optimized RbY2Cl7 structure, as listed in Materials Project.

POSCAR file:
```
RbY2Cl7
1.0
-0.637 -0.484 6.982
9.029 -8.977 0.201
9.497 9.587 1.532
Rb Y Cl
4 8 28
Direct
0.250 0.804 0.041
0.750 0.196 0.959
0.750 0.304 0.459
0.250 0.696 0.541
0.250 0.460 0.237
0.750 0.540 0.763
0.750 0.960 0.263
0.250 0.040 0.737
0.250 0.157 0.250
0.750 0.843 0.750
0.750 0.657 0.250
0.250 0.343 0.750
0.010 0.307 0.176
0.990 0.693 0.824
0.990 0.807 0.324
0.510 0.693 0.824
0.010 0.193 0.676
0.490 0.307 0.176
0.490 0.193 0.676
0.510 0.807 0.324
0.011 0.578 0.124
0.989 0.422 0.876
0.989 0.078 0.376
0.511 0.422 0.876
0.011 0.922 0.624
0.489 0.578 0.124
0.489 0.922 0.624
0.511 0.078 0.376
0.009 0.040 0.134
0.991 0.960 0.866
0.991 0.540 0.366
0.509 0.960 0.866
0.009 0.460 0.634
0.491 0.040 0.134
0.491 0.460 0.634
0.509 0.540 0.366
0.250 0.312 0.389
0.750 0.688 0.611
0.750 0.812 0.111
0.250 0.188 0.889
```

SG	No. 62
ρ	2.80	Mg/m³
energy of formation from the pure elements	-2.68	eV/atom